Computed, not measured: a relaxed structure of TbFeNi4 at the PBE level of DFT.

Geometry as extended XYZ:
```
6
Lattice="2.472 -4.281 0.000 2.472 4.281 0.000 0.000 0.000 3.925" Properties=species:S:1:pos:R:3 pbc="T T T"
Ni 2.472 2.851 1.962
Ni 3.705 0.715 1.962
Ni 2.472 1.427 0.000
Ni 1.239 0.715 1.962
Fe 0.000 0.000 0.000
Tb 2.472 -1.427 0.000
```

Results
Symmetry: No. 187
Formation energy (eV/atom): -0.250

=====

Computed, not measured: a relaxed structure of P3PbNO9 at the PBE level of DFT.

Geometry as extended XYZ:
```
112
Lattice="-16.072 -5.565 2.625 2.094 -6.759 -1.510 3.997 -5.692 12.407" Properties=species:S:1:pos:R:3 pbc="T T T"
O 0.515 -9.275 3.677
O 2.434 -3.786 7.346
O 5.155 -10.991 10.452
O -7.131 -11.486 11.034
O -12.578 -8.807 6.726
O -11.155 -13.693 9.255
O -8.283 -12.463 4.245
O -5.530 -12.292 12.828
O 0.931 -7.398 6.344
O -4.649 -11.706 10.458
O 0.737 -8.826 8.431
O 1.190 -7.347 1.392
O -10.912 -10.618 7.178
O 0.343 -6.511 10.442
O -9.245 -11.556 9.755
O -9.467 -8.094 3.261
O 1.835 -8.928 10.780
O -6.686 -10.634 4.695
O -7.467 -3.677 2.433
O -5.512 -9.898 12.102
O -12.597 -10.919 5.226
O -2.938 -7.042 5.030
O -2.210 -1.234 0.774
O 0.227 -12.912 10.253
O -0.609 -2.914 1.858
O -7.208 -15.628 10.599
O -9.373 -15.102 11.664
O -11.172 -10.669 12.130
O -0.515 -9.921 10.260
O -4.830 -9.693 3.261
O -11.817 -9.088 2.742
O -4.452 -5.724 0.693
O -6.599 -13.753 9.001
O -10.719 -9.190 5.090
O -7.044 -10.974 8.492
O -2.851 -6.530 2.488
O 1.173 -4.323 4.267
O -2.773 -2.388 2.923
O -5.332 -6.310 3.064
O 2.615 -7.097 8.295
O -4.469 -8.118 1.420
O -6.897 -8.681 2.030
O -3.383 -4.263 4.521
O -1.699 -5.553 9.277
O -12.416 -14.230 6.176
O 1.320 -4.048 0.705
O -5.726 -7.304 8.063
O -7.994 -9.326 10.042
O -11.302 -13.968 12.817
O -4.375 -9.557 8.165
O -10.325 -11.505 3.080
O -7.892 -5.996 5.064
O -3.427 -5.194 7.502
O -10.497 -8.741 9.845
O -1.988 -8.690 3.480
O -0.736 -6.460 3.767
O -3.296 -7.382 8.827
O -11.663 -7.059 4.112
O -6.555 -12.822 6.020
O -7.772 -16.782 12.748
O -2.090 -12.020 8.457
O -5.152 -8.323 10.261
O -4.256 -10.712 5.459
O -15.136 -7.025 3.070
O -10.209 -5.104 3.269
O -14.323 -7.960 5.228
O 1.681 -10.957 9.410
O -2.514 -14.339 11.089
O 4.341 -10.056 8.293
O 2.597 -9.209 6.796
O -3.085 -9.335 11.492
O -5.606 -8.459 5.357
N -8.035 -8.807 6.766
N -0.353 -4.812 6.291
N -1.947 -9.208 6.756
N -1.077 -8.600 12.939
N -8.882 -12.639 13.434
N -1.099 -5.377 0.088
N -8.905 -9.416 0.583
N -9.629 -13.204 7.231
P -7.899 -10.906 9.727
P -3.239 -5.758 8.886
P -5.503 -9.267 1.855
P -4.356 -6.570 1.928
P -10.879 -15.282 12.246
P -10.869 -8.397 3.682
P -0.775 -9.621 2.974
P -14.166 -8.565 6.719
P 0.887 -9.619 9.839
P -1.615 -1.658 2.091
P 1.197 -12.476 9.182
P -9.206 -8.395 10.548
P -5.625 -11.446 11.593
P 0.897 -2.733 1.276
P -5.290 -9.810 4.804
P -11.179 -5.540 4.340
P -6.743 -12.258 4.636
P -11.704 -10.013 6.056
P -4.479 -8.749 11.667
P -4.691 -8.206 8.718
P 1.722 -8.003 7.465
P -2.083 -7.110 3.795
P -8.367 -16.358 11.431
P 4.184 -9.451 6.803
Pb -11.502 -10.949 9.698
Pb -12.754 -11.218 2.621
Pb 1.521 -7.067 3.824
Pb -1.812 -11.759 10.898
Pb -4.887 -5.913 5.622
Pb -8.169 -6.257 2.624
Pb 2.773 -6.798 10.901
Pb -5.094 -12.103 7.900
```

Results
Symmetry: No. 14
E (MP2020) (eV/cell): -776.63
Formation energy (eV/atom): -1.733

=====

- Which formula does entry 1 have?
  TbFeNi4

=====

- formation energy of number 1 (TbFeNi4)?
  -0.250 eV/atom